InGaAg2Se4 | PBE | optimized geometry

For the formation energy, the calculation gives -0.67 eV per atom.

It has space group I-4 (No. 82), with a = 6.129 Å, b = 6.129 Å, c = 11.664 Å, α = 90.00°, β = 90.00° and γ = 90.00°. The distinct sites, in fractional coordinates, are In at (0.000, 0.000, 0.000), Ga at (0.000, 0.500, 0.750), Ag at (0.000, 0.000, 0.500), Ag at (0.000, 0.500, 0.250) and Se at (0.233, 0.264, 0.869).

***

InGa2Ag3Se6 | PBE | optimized geometry

For the formation energy, the calculation gives -0.68 eV per atom.

It has space group I-4 (No. 82), with a = 6.107 Å, b = 6.107 Å, c = 34.630 Å, α = 90.00°, β = 90.00° and γ = 90.00°. The distinct sites, in fractional coordinates, are In at (0.000, 0.000, 0.166), Ga at (0.000, 0.000, 0.500), Ga at (0.000, 0.500, 0.081), Ga at (0.000, 0.500, 0.750), Ag at (0.000, 0.000, 0.000), Ag at (0.000, 0.000, 0.334), Ag at (0.000, 0.500, 0.250), Ag at (0.000, 0.500, 0.582), Se at (0.221, 0.750, 0.459), Se at (0.231, 0.737, 0.122) and Se at (0.234, 0.736, 0.790).

***

InGaAg2Te2Se2 | PBE | optimized geometry

For the formation energy, the calculation gives -0.47 eV per atom.

It has space group C2 (No. 5), with a = 8.946 Å, b = 12.133 Å, c = 6.305 Å, α = 90.00°, β = 134.75° and γ = 90.00°. The distinct sites, in fractional coordinates, are In at (0.000, 0.000, 0.000), Ga at (0.000, 0.769, 0.500), Ag at (0.000, 0.263, 0.500), Ag at (0.000, 0.504, 0.000), Te at (0.238, 0.640, 0.495) and Se at (0.231, 0.879, 0.968).

***

InGaAg2Te4 | PBE | optimized geometry

For the formation energy, the calculation gives -0.50 eV per atom.

It has space group I-4 (No. 82), with a = 6.503 Å, b = 6.503 Å, c = 12.625 Å, α = 90.00°, β = 90.00° and γ = 90.00°. The distinct sites, in fractional coordinates, are In at (0.000, 0.000, 0.000), Ga at (0.000, 0.500, 0.750), Ag at (0.000, 0.000, 0.500), Ag at (0.000, 0.500, 0.250) and Te at (0.238, 0.743, 0.630).

***

Lu2GaAg | PBE | optimized geometry

For the formation energy, the calculation gives -0.47 eV per atom.

It has space group Fm-3m (No. 225), with a = 7.084 Å, b = 7.084 Å, c = 7.084 Å, α = 90.00°, β = 90.00° and γ = 90.00°. The distinct sites, in fractional coordinates, are Lu at (0.250, 0.250, 0.250), Ga at (0.000, 0.000, 0.000) and Ag at (0.000, 0.000, 0.500).

***

LuGaAg | PBE | optimized geometry

For the formation energy, the calculation gives -0.45 eV per atom.

It has space group C2/m (No. 12), with a = 10.434 Å, b = 4.530 Å, c = 7.009 Å, α = 90.00°, β = 131.86° and γ = 90.00°. The distinct sites, in fractional coordinates, are Lu at (0.037, 0.000, 0.291), Ga at (0.160, 0.500, 0.117) and Ag at (0.173, 0.500, 0.721).